Arrangement 1

PBE with a Hubbard U LiCo3O4, relaxed; total moment = 9.93 μB/f.u.; V = 76 Å³/cell
1.0
3.187 -4.074 0.841
-0.822 -2.102 4.729
-3.206 1.265 -3.947
Co O Li
3 4 1
direct
0.750 0.250 0.500
0.500 0.500 0.000
0.250 0.750 0.500
0.500 0.000 0.500
0.000 0.500 0.500
0.733 0.733 0.000
0.267 0.267 0.000
0.000 0.000 0.000

---

Arrangement 2

PBE with a Hubbard U LiCo3O4, relaxed; total moment = 8.36 μB/f.u.; V = 76 Å³/cell
1.0
-0.655 0.354 5.126
-4.673 -0.201 -2.224
0.029 -2.987 0.210
Co O Li
3 4 1
direct
0.000 0.500 0.000
0.000 0.000 0.500
0.500 0.000 0.000
0.233 0.233 0.000
0.767 0.767 0.000
0.243 0.757 0.500
0.757 0.243 0.500
0.500 0.500 0.500

---

Least stable structure: arrangement 1

---

Arrangement 1

PBE with a Hubbard U LiCoP2O7, relaxed; total moment = 2.00 μB/f.u.; V = 300 Å³/cell
1.0
2.754 7.631 0.000
-2.754 7.631 0.000
0.000 4.036 7.136
O Co P Li
14 2 4 2
direct
0.706 0.097 0.005
0.283 0.330 0.936
0.710 0.085 0.699
0.886 0.322 0.483
0.256 0.948 0.288
0.497 0.502 0.755
0.085 0.710 0.199
0.722 0.655 0.093
0.322 0.886 0.983
0.330 0.283 0.436
0.502 0.497 0.255
0.948 0.256 0.788
0.655 0.722 0.593
0.097 0.706 0.505
0.009 0.988 0.999
0.988 0.009 0.499
0.753 0.461 0.648
0.540 0.246 0.856
0.461 0.753 0.148
0.246 0.540 0.356
0.403 0.047 0.680
0.047 0.403 0.180

---

Arrangement 2

PBE with a Hubbard U LiCoP2O7, relaxed; total moment = 3.00 μB/f.u.; V = 533 Å³/cell
1.0
-2.669 3.272 3.023
-2.497 -6.161 4.463
8.656 -2.551 10.404
O Co P Li
28 4 8 4
direct
0.550 0.517 0.096
0.085 0.477 0.403
0.369 0.774 0.422
0.015 0.157 0.427
0.486 0.838 0.076
0.828 0.696 0.493
0.492 0.014 0.687
0.324 0.312 0.998
0.836 0.773 0.723
0.883 0.226 0.084
0.363 0.685 0.766
0.631 0.774 0.922
0.279 0.272 0.772
0.034 0.986 0.808
0.985 0.157 0.927
0.637 0.685 0.266
0.117 0.226 0.584
0.721 0.272 0.272
0.514 0.838 0.576
0.915 0.477 0.903
0.783 0.281 0.748
0.217 0.281 0.248
0.164 0.773 0.223
0.172 0.696 0.993
0.966 0.986 0.308
0.450 0.517 0.596
0.508 0.014 0.187
0.676 0.312 0.498
0.515 0.269 0.145
0.485 0.269 0.645
0.965 0.730 0.871
0.035 0.730 0.371
0.034 0.303 0.982
0.018 0.179 0.806
0.458 0.699 0.018
0.552 0.820 0.697
0.448 0.820 0.197
0.966 0.303 0.482
0.542 0.699 0.518
0.982 0.179 0.306
0.520 0.419 0.826
0.914 0.973 0.170
0.480 0.419 0.326
0.086 0.973 0.670

---

Arrangement 3

PBE with a Hubbard U LiCoP2O7, relaxed; V = 492 Å³/cell
1.0
8.130 0.000 0.000
0.000 6.751 0.000
0.000 2.939 8.963
O Li P Co
28 4 8 4
direct
0.431 0.851 0.353
0.917 0.070 0.626
0.823 0.061 0.890
0.417 0.930 0.874
0.579 0.482 0.364
0.765 0.522 0.109
0.091 0.615 0.633
0.079 0.518 0.136
0.265 0.478 0.391
0.583 0.070 0.126
0.735 0.522 0.609
0.900 0.768 0.222
0.909 0.385 0.367
0.409 0.615 0.133
0.323 0.939 0.610
0.069 0.851 0.853
0.235 0.478 0.891
0.921 0.482 0.864
0.400 0.232 0.278
0.677 0.061 0.390
0.600 0.768 0.722
0.421 0.518 0.636
0.083 0.930 0.374
0.177 0.939 0.110
0.100 0.232 0.778
0.931 0.149 0.147
0.569 0.149 0.647
0.591 0.385 0.867
0.112 0.197 0.457
0.612 0.803 0.043
0.888 0.803 0.543
0.388 0.197 0.957
0.087 0.463 0.794
0.034 0.951 0.212
0.587 0.537 0.706
0.466 0.951 0.712
0.966 0.049 0.788
0.913 0.537 0.206
0.534 0.049 0.288
0.413 0.463 0.294
0.222 0.718 0.001
0.778 0.282 0.999
0.278 0.718 0.501
0.722 0.282 0.499

---

Least stable structure: arrangement 1

---

Arrangement 1

PBE with a Hubbard U Li3Co2P3O12, relaxed; total moment = 2.00 μB/f.u.; V = 888 Å³/cell
1.0
8.755 0.000 0.000
0.000 8.450 0.000
0.000 8.101 11.999
O P Co Li
48 12 8 12
direct
0.360 0.983 0.415
0.795 0.790 0.836
0.335 0.961 0.599
0.580 0.626 0.814
0.769 0.480 0.689
0.048 0.327 0.936
0.008 0.380 0.248
0.231 0.520 0.311
0.421 0.336 0.025
0.392 0.657 0.399
0.731 0.480 0.189
0.860 0.017 0.085
0.269 0.520 0.811
0.420 0.374 0.186
0.472 0.049 0.220
0.873 0.893 0.557
0.608 0.343 0.601
0.972 0.951 0.280
0.140 0.983 0.915
0.508 0.620 0.252
0.835 0.039 0.901
0.627 0.893 0.057
0.080 0.374 0.686
0.821 0.251 0.435
0.679 0.251 0.935
0.705 0.790 0.336
0.952 0.673 0.064
0.373 0.107 0.943
0.548 0.673 0.564
0.321 0.749 0.065
0.079 0.336 0.525
0.127 0.107 0.443
0.165 0.961 0.099
0.028 0.049 0.720
0.205 0.210 0.164
0.921 0.664 0.475
0.665 0.039 0.401
0.579 0.664 0.975
0.108 0.657 0.899
0.179 0.749 0.565
0.920 0.626 0.314
0.892 0.343 0.101
0.528 0.951 0.780
0.640 0.017 0.585
0.492 0.380 0.748
0.295 0.210 0.664
0.992 0.620 0.752
0.452 0.327 0.436
0.110 0.535 0.851
0.618 0.765 0.850
0.882 0.765 0.350
0.249 0.951 0.508
0.382 0.235 0.150
0.610 0.465 0.649
0.118 0.235 0.650
0.390 0.535 0.351
0.749 0.049 0.992
0.890 0.465 0.149
0.251 0.951 0.008
0.751 0.049 0.492
0.475 0.156 0.600
0.975 0.844 0.900
0.035 0.360 0.394
0.965 0.640 0.606
0.465 0.360 0.894
0.025 0.156 0.100
0.525 0.844 0.400
0.535 0.640 0.106
0.588 0.887 0.193
0.010 0.217 0.843
0.412 0.113 0.807
0.220 0.507 0.177
0.510 0.783 0.657
0.720 0.493 0.323
0.280 0.507 0.677
0.912 0.887 0.693
0.990 0.783 0.157
0.780 0.493 0.823
0.088 0.113 0.307
0.490 0.217 0.343

---

Arrangement 2

PBE with a Hubbard U Li3Co2P3O12, relaxed; total moment = 8.00 μB/f.u.; V = 922 Å³/cell
1.0
8.717 0.000 0.000
0.000 8.716 0.000
0.000 0.283 12.135
O Co P Li
48 8 12 12
direct
0.479 0.653 0.262
0.521 0.347 0.738
0.716 0.646 0.681
0.634 0.459 0.927
0.831 0.174 0.564
0.979 0.847 0.238
0.403 0.069 0.835
0.134 0.041 0.573
0.236 0.346 0.689
0.406 0.850 0.977
0.097 0.569 0.335
0.284 0.354 0.319
0.264 0.846 0.189
0.606 0.423 0.345
0.311 0.071 0.403
0.811 0.429 0.097
0.554 0.663 0.461
0.169 0.826 0.436
0.189 0.571 0.903
0.446 0.337 0.539
0.877 0.605 0.933
0.736 0.154 0.811
0.903 0.431 0.665
0.366 0.541 0.073
0.669 0.674 0.064
0.123 0.395 0.067
0.623 0.105 0.433
0.894 0.923 0.845
0.764 0.654 0.311
0.331 0.326 0.936
0.689 0.929 0.597
0.021 0.153 0.762
0.377 0.895 0.567
0.995 0.305 0.287
0.005 0.695 0.713
0.054 0.837 0.039
0.597 0.931 0.165
0.784 0.146 0.181
0.505 0.805 0.787
0.495 0.195 0.213
0.594 0.150 0.023
0.094 0.350 0.477
0.866 0.959 0.427
0.394 0.577 0.655
0.106 0.077 0.155
0.946 0.163 0.961
0.216 0.854 0.819
0.906 0.650 0.523
0.027 0.745 0.897
0.959 0.744 0.393
0.041 0.256 0.607
0.527 0.755 0.603
0.973 0.255 0.103
0.541 0.244 0.893
0.473 0.245 0.397
0.459 0.756 0.107
0.245 0.963 0.494
0.755 0.037 0.506
0.882 0.605 0.648
0.602 0.603 0.349
0.255 0.463 0.994
0.398 0.397 0.651
0.618 0.105 0.148
0.745 0.537 0.006
0.382 0.895 0.852
0.898 0.103 0.849
0.102 0.897 0.151
0.118 0.395 0.352
0.198 0.585 0.742
0.071 0.923 0.704
0.225 0.209 0.821
0.725 0.291 0.679
0.429 0.423 0.204
0.929 0.077 0.296
0.571 0.577 0.796
0.802 0.415 0.258
0.698 0.915 0.758
0.275 0.709 0.321
0.302 0.085 0.242
0.775 0.791 0.179

---

Arrangement 3

PBE with a Hubbard U Li3Co2P3O12, relaxed; total moment = 4.00 μB/f.u.; V = 916 Å³/cell
1.0
-0.270 5.304 -6.909
-7.597 -3.523 -2.407
-13.324 4.795 4.203
O Co P Li
48 8 12 12
direct
0.334 0.480 0.582
0.666 0.520 0.418
0.653 0.547 0.585
0.989 0.583 0.716
0.166 0.480 0.082
0.834 0.520 0.918
0.519 0.084 0.265
0.166 0.262 0.571
0.775 0.335 0.816
0.109 0.218 0.853
0.264 0.013 0.817
0.666 0.738 0.929
0.225 0.665 0.184
0.511 0.583 0.216
0.629 0.384 0.071
0.871 0.384 0.571
0.891 0.782 0.147
0.011 0.417 0.284
0.908 0.099 0.332
0.275 0.665 0.684
0.556 0.136 0.536
0.918 0.173 0.474
0.418 0.827 0.026
0.582 0.173 0.974
0.981 0.084 0.765
0.236 0.013 0.317
0.725 0.335 0.316
0.764 0.987 0.683
0.489 0.417 0.784
0.736 0.987 0.183
0.019 0.916 0.235
0.408 0.901 0.168
0.592 0.099 0.832
0.334 0.262 0.071
0.092 0.901 0.668
0.129 0.616 0.429
0.082 0.827 0.526
0.944 0.136 0.036
0.056 0.864 0.964
0.153 0.453 0.915
0.444 0.864 0.464
0.371 0.616 0.929
0.834 0.738 0.429
0.481 0.916 0.735
0.347 0.453 0.415
0.609 0.782 0.647
0.847 0.547 0.085
0.391 0.218 0.353
0.542 0.364 0.397
0.958 0.364 0.897
0.458 0.636 0.603
0.042 0.636 0.103
0.540 0.136 0.109
0.960 0.136 0.609
0.460 0.864 0.891
0.040 0.864 0.391
0.893 0.960 0.148
0.755 0.543 0.500
0.392 0.745 0.149
0.607 0.960 0.648
0.608 0.255 0.851
0.892 0.255 0.351
0.255 0.457 0.000
0.393 0.040 0.352
0.245 0.457 0.500
0.107 0.040 0.852
0.745 0.543 0.000
0.108 0.745 0.649
0.725 0.969 0.321
0.225 0.031 0.179
0.562 0.349 0.210
0.275 0.031 0.679
0.732 0.613 0.182
0.232 0.387 0.318
0.062 0.651 0.290
0.268 0.387 0.818
0.768 0.613 0.682
0.775 0.969 0.821
0.938 0.349 0.710
0.438 0.651 0.790

---

Least stable structure: arrangement 1